1.
Na3YSi2GeSO12 | PBE | optimized geometry

Cell lengths 9.1904, 9.1904, 22.5776 Å; angles 85.82, 94.18, 118.08 degrees
With the nearest neighbours (Å) after each atom.
Element x y z (fractional)
Na: 0.6476 0.0041 0.2414  3 O 2.32-2.41
Na: 0.9965 0.6291 0.2521  6 O 2.42-2.69
Na: 0.9959 0.3524 0.7414  3 O 2.32-2.41
Na: 0.3709 0.0035 0.7521  6 O 2.42-2.69
Na: 0.3142 0.3374 0.5748  3 O 2.32-2.41
Na: 0.6632 0.9625 0.5854  6 O 2.42-2.69
Na: 0.6626 0.6858 0.0748  3 O 2.32-2.41
Na: 0.0375 0.3368 0.0854  6 O 2.42-2.69
Na: 0.9809 0.6708 0.9081  3 O 2.32-2.41
Na: 0.3298 0.2958 0.9187  6 O 2.42-2.69
Na: 0.3292 0.0191 0.4081  3 O 2.32-2.41
Na: 0.7042 0.6702 0.4187  6 O 2.42-2.69
Na: 0.9949 0.0172 0.5020  4 O 2.38-2.49
Na: 0.9828 0.0051 0.0020  4 O 2.38-2.49
Na: 0.6615 0.3505 0.8354  4 O 2.38-2.49
Na: 0.6495 0.3385 0.3354  4 O 2.38-2.49
Na: 0.3282 0.6838 0.1687  4 O 2.38-2.49
Na: 0.3162 0.6718 0.6687  4 O 2.38-2.49
Y: 0.0060 0.0130 0.3534  6 O 2.13-2.27
Y: 0.9870 0.9940 0.8534  6 O 2.13-2.27
Y: 0.6727 0.3464 0.6867  6 O 2.13-2.27
Y: 0.6536 0.3273 0.1867  6 O 2.13-2.27
Y: 0.3394 0.6797 0.0200  6 O 2.13-2.27
Y: 0.3203 0.6606 0.5200  6 O 2.13-2.27
Si: 0.2818 0.9793 0.2541  4 O 1.60-1.75
Si: 0.7015 0.7022 0.2529  4 O 1.60-1.70
Si: 0.2978 0.2985 0.7529  4 O 1.60-1.70
Si: 0.0207 0.7182 0.7541  4 O 1.60-1.75
Si: 0.9485 0.3127 0.5874  4 O 1.60-1.75
Si: 0.3682 0.0356 0.5863  4 O 1.60-1.70
Si: 0.9644 0.6318 0.0862  4 O 1.60-1.70
Si: 0.6873 0.0515 0.0874  4 O 1.60-1.75
Si: 0.6152 0.6460 0.9208  4 O 1.60-1.75
Si: 0.0348 0.3689 0.9196  4 O 1.60-1.70
Si: 0.6311 0.9652 0.4196  4 O 1.60-1.70
Si: 0.3540 0.3848 0.4208  4 O 1.60-1.75
Ge: 0.0641 0.0359 0.6472  4 O 1.81-1.89
Ge: 0.9641 0.9359 0.1472  4 O 1.81-1.89
Ge: 0.7307 0.3692 0.9806  4 O 1.81-1.89
Ge: 0.6308 0.2693 0.4806  4 O 1.81-1.89
Ge: 0.3974 0.7026 0.3139  4 O 1.81-1.89
Ge: 0.2974 0.6026 0.8139  4 O 1.81-1.89
S: 0.0193 0.3170 0.2449  4 O 1.47-1.51
S: 0.6830 0.9807 0.7449  4 O 1.47-1.51
S: 0.6860 0.6503 0.5783  4 O 1.47-1.51
S: 0.3497 0.3140 0.0783  4 O 1.47-1.51
S: 0.3527 0.9837 0.9116  4 O 1.47-1.51
S: 0.0163 0.6473 0.4116  4 O 1.47-1.51
O: 0.2094 0.0022 0.3130  1 Si 1.60
O: 0.8081 0.7986 0.3097  1 Si 1.60
O: 0.0116 0.2154 0.2994  1 S 1.47
O: 0.2014 0.1919 0.8097  1 Si 1.60
O: 0.9978 0.7906 0.8130  1 Si 1.60
O: 0.7846 0.9884 0.7994  1 S 1.47
O: 0.7654 0.9787 0.6916  1 S 1.47
O: 0.1838 0.2177 0.6897  1 Si 1.70, 1 Ge 1.81
O: 0.0572 0.8647 0.6957  1 Si 1.75, 1 Ge 1.83
O: 0.7823 0.8162 0.1897  1 Si 1.70, 1 Ge 1.81
O: 0.0213 0.2346 0.1916  1 S 1.47
O: 0.1353 0.9428 0.1957  1 Si 1.75, 1 Ge 1.83
O: 0.8761 0.3355 0.6463  1 Si 1.60
O: 0.4748 0.1319 0.6431  1 Si 1.60
O: 0.6782 0.5488 0.6327  1 S 1.47
O: 0.8681 0.5252 0.1431  1 Si 1.60
O: 0.6645 0.1239 0.1463  1 Si 1.60
O: 0.4512 0.3218 0.1327  1 S 1.47
O: 0.4321 0.3120 0.0249  1 S 1.47
O: 0.8504 0.5511 0.0230  1 Si 1.70, 1 Ge 1.81
O: 0.7238 0.1980 0.0290  1 Si 1.75, 1 Ge 1.83
O: 0.4489 0.1496 0.5230  1 Si 1.70, 1 Ge 1.81
O: 0.6880 0.5679 0.5249  1 S 1.47
O: 0.8020 0.2762 0.5290  1 Si 1.75, 1 Ge 1.83
O: 0.5428 0.6689 0.9796  1 Si 1.60
O: 0.1414 0.4653 0.9764  1 Si 1.60
O: 0.3449 0.8821 0.9660  1 S 1.47
O: 0.5347 0.8586 0.4764  1 Si 1.60
O: 0.3311 0.4572 0.4796  1 Si 1.60
O: 0.1179 0.6551 0.4660  1 S 1.47
O: 0.0987 0.6453 0.3582  1 S 1.47
O: 0.5171 0.8844 0.3564  1 Si 1.70, 1 Ge 1.81
O: 0.3905 0.5313 0.3623  1 Si 1.75, 1 Ge 1.83
O: 0.1156 0.4829 0.8564  1 Si 1.70, 1 Ge 1.81
O: 0.3547 0.9013 0.8582  1 S 1.47
O: 0.4687 0.6095 0.8623  1 Si 1.75, 1 Ge 1.83
O: 0.0021 0.8039 0.4143  1 S 1.51
O: 0.8137 0.9842 0.4172  1 Si 1.61
O: 0.2100 0.1993 0.4101  1 Si 1.61
O: 0.0158 0.1863 0.9172  1 Si 1.61
O: 0.1961 0.9979 0.9143  1 S 1.51
O: 0.8007 0.7900 0.9101  1 Si 1.61
O: 0.9594 0.1292 0.5941  1 Si 1.73, 1 Ge 1.89
O: 0.1863 0.0408 0.5860  1 Si 1.69, 1 Ge 1.83
O: 0.8293 0.8153 0.5811  1 S 1.47
O: 0.9592 0.8137 0.0860  1 Si 1.69, 1 Ge 1.83
O: 0.8708 0.0406 0.0941  1 Si 1.73, 1 Ge 1.89
O: 0.1847 0.1707 0.0811  1 S 1.47
O: 0.6688 0.1373 0.7477  1 S 1.51
O: 0.4803 0.3176 0.7505  1 Si 1.61
O: 0.8767 0.5326 0.7434  1 Si 1.61
O: 0.6824 0.5197 0.2505  1 Si 1.61
O: 0.8627 0.3312 0.2477  1 S 1.51
O: 0.4674 0.1233 0.2434  1 Si 1.61
O: 0.6261 0.4625 0.9274  1 Si 1.73, 1 Ge 1.89
O: 0.8530 0.3741 0.9194  1 Si 1.69, 1 Ge 1.83
O: 0.4960 0.1487 0.9145  1 S 1.47
O: 0.6259 0.1470 0.4194  1 Si 1.69, 1 Ge 1.83
O: 0.5375 0.3739 0.4274  1 Si 1.73, 1 Ge 1.89
O: 0.8513 0.5040 0.4145  1 S 1.47
O: 0.3354 0.4706 0.0810  1 S 1.51
O: 0.1470 0.6509 0.0839  1 Si 1.61
O: 0.5433 0.8660 0.0768  1 Si 1.61
O: 0.3491 0.8530 0.5839  1 Si 1.61
O: 0.5294 0.6646 0.5810  1 S 1.51
O: 0.1340 0.4567 0.5768  1 Si 1.61
O: 0.2928 0.7959 0.2607  1 Si 1.73, 1 Ge 1.89
O: 0.5196 0.7074 0.2527  1 Si 1.69, 1 Ge 1.83
O: 0.1627 0.4820 0.2478  1 S 1.47
O: 0.2926 0.4804 0.7527  1 Si 1.69, 1 Ge 1.83
O: 0.2041 0.7072 0.7607  1 Si 1.73, 1 Ge 1.89
O: 0.5180 0.8373 0.7478  1 S 1.47

Output
* formation energy: -2.615 eV per atom
* VASP energy: -6.674 eV/atom

***

2.
Na4Y2Si3Ge2S3O24 | PBE | optimized geometry

Cell lengths 9.0933, 9.1012, 22.9098 Å; angles 88.35, 88.96, 60.63 degrees
With the nearest neighbours (Å) after each atom.
Element x y z (fractional)
Na: 0.0000 0.0000 0.0000  4 O 2.41-2.68
Na: 0.0018 0.6921 0.0805  4 O 2.31-2.58
Na: 0.2843 0.6684 0.5911  3 O 2.33-2.57
Na: 0.3154 0.3434 0.1752  4 O 2.33-2.55
Na: 0.3201 0.3575 0.6801  3 O 2.26-2.48
Na: 0.3247 0.0105 0.7644  5 O 2.42-2.70
Na: 0.6073 0.0157 0.2513  7 O 2.43-2.69
Na: 0.6350 0.6683 0.3431  4 O 2.38-2.66
Na: 0.6382 0.6492 0.8349  2 O 2.27-2.44
Na: 0.6738 0.3264 0.4289  5 O 2.38-2.62
Na: 0.9364 0.3511 0.9191  6 O 2.40-2.68
Na: 0.9766 0.9978 0.5081  1 O 2.22
Y: 0.3165 0.3423 0.5280  5 O 2.09-2.31
Y: 0.3187 0.3459 0.0254  4 O 2.07-2.19
Y: 0.6294 0.6770 0.1901  6 O 2.14-2.40
Y: 0.6442 0.6714 0.6933  5 O 2.07-2.31
Y: 0.9672 0.0166 0.8603  6 O 2.08-2.33
Y: 0.9823 0.0052 0.3616  6 O 2.13-2.34
Si: 0.0031 0.6482 0.9309  4 O 1.59-1.73
Si: 0.2441 0.7260 0.7543  4 O 1.58-1.77
Si: 0.3048 0.0788 0.9174  4 O 1.59-1.72
Si: 0.3277 0.6390 0.4304  4 O 1.59-1.76
Si: 0.6090 0.0253 0.4278  4 O 1.59-1.76
Si: 0.6461 0.9895 0.0957  4 O 1.59-1.74
Si: 0.6681 0.3118 0.2632  4 O 1.59-1.73
Si: 0.6687 0.3684 0.5901  4 O 1.58-1.75
Si: 0.9760 0.3167 0.7617  4 O 1.59-1.70
Ge: 0.2383 0.3887 0.8202  4 O 1.80-1.87
Ge: 0.3804 0.3230 0.3389  3 O 1.75-1.82
Ge: 0.6334 0.7824 0.9745  3 O 1.73-1.76
Ge: 0.6491 0.6608 0.4855  4 O 1.86-2.06
Ge: 0.9246 0.0457 0.1567  3 O 1.80-1.90
Ge: 0.9668 0.0442 0.6669  4 O 1.78-1.91
S: 0.0150 0.3638 0.4201  4 O 1.45-1.52
S: 0.2538 0.0336 0.2494  4 O 1.46-1.52
S: 0.3342 0.7048 0.0845  4 O 1.48-1.51
S: 0.3411 0.9605 0.5878  4 O 1.47-1.52
S: 0.5915 0.3723 0.9191  4 O 1.47-1.50
S: 0.6702 0.0374 0.7505  4 O 1.45-1.55
S: 0.9243 0.6920 0.5829  4 O 1.46-1.53
S: 0.9385 0.3667 0.0922  4 O 1.46-1.55
S: 0.9833 0.7218 0.2500  4 O 1.45-1.57
O: 0.0150 0.1786 0.7074  1 Si 1.70, 1 Ge 1.78
O: 0.0854 0.5203 0.8736  1 Si 1.68, 1 Ge 1.80
O: 0.0931 0.5341 0.5860  1 S 1.50
O: 0.0968 0.5661 0.9913  1 Si 1.60
O: 0.1010 0.3478 0.4748  1 S 1.45
O: 0.1084 0.3515 0.0949  1 S 1.48
O: 0.1107 0.3760 0.3671  1 S 1.52
O: 0.1226 0.8250 0.6913  1 Si 1.77, 1 Ge 1.87
O: 0.1339 0.5567 0.2515  1 S 1.45
O: 0.1469 0.0448 0.9179  1 Si 1.61
O: 0.1525 0.0401 0.1966  1 S 1.52
O: 0.1625 0.3151 0.7602  1 Si 1.69, 1 Ge 1.83
O: 0.1621 0.8490 0.8071  1 Si 1.58
O: 0.1631 0.8590 0.0858  1 S 1.50
O: 0.1753 0.0178 0.3038  1 S 1.46
O: 0.1758 0.9601 0.5901  1 S 1.50
O: 0.1831 0.8245 0.4143  1 Si 1.59
O: 0.2610 0.5342 0.7674  1 Si 1.69, 1 Ge 1.85
O: 0.2745 0.1849 0.2491  1 S 1.48
O: 0.2891 0.5729 0.4906  1 Si 1.59
O: 0.2990 0.1692 0.9764  1 Si 1.59
O: 0.3054 0.1356 0.5795  1 S 1.47
O: 0.3066 0.5546 0.0875  1 S 1.51
O: 0.3266 0.1764 0.8569  1 Si 1.69, 1 Ge 1.87
O: 0.3694 0.4950 0.3746  1 Ge 1.75, 1 Si 1.76
O: 0.4259 0.6922 0.1389  1 S 1.48
O: 0.4294 0.7073 0.0319  1 S 1.48
O: 0.4290 0.8820 0.2481  1 S 1.51
O: 0.4303 0.7067 0.7460  1 Si 1.62
O: 0.4315 0.8977 0.6432  1 S 1.47
O: 0.4383 0.8485 0.5375  1 S 1.52
O: 0.4749 0.3173 0.2677  1 Si 1.73, 1 Ge 1.82
O: 0.4879 0.1737 0.0931  1 Si 1.59
O: 0.4893 0.8885 0.9194  1 Si 1.72, 1 Ge 1.73
O: 0.4922 0.3779 0.8681  1 S 1.47
O: 0.5008 0.1081 0.3613  1 Si 1.76, 1 Ge 1.77
O: 0.5020 0.1729 0.4717  1 Si 1.59
O: 0.5017 0.3453 0.5861  1 Si 1.64
O: 0.5082 0.1942 0.7490  1 S 1.46
O: 0.5130 0.3623 0.9754  1 S 1.49
O: 0.5180 0.6254 0.4313  1 Si 1.67
O: 0.6151 0.5230 0.9189  1 S 1.49
O: 0.6172 0.8410 0.4371  1 Si 1.65
O: 0.6262 0.5014 0.6397  1 Si 1.58
O: 0.6381 0.4995 0.2558  1 Si 1.60
O: 0.6394 0.8920 0.7458  1 S 1.49
O: 0.6472 0.8869 0.1535  1 Si 1.60
O: 0.6808 0.8624 0.0359  1 Si 1.74, 1 Ge 1.76
O: 0.6942 0.4599 0.5254  1 Si 1.75, 1 Ge 1.88
O: 0.7553 0.1831 0.2042  1 Si 1.72, 1 Ge 1.80
O: 0.7636 0.2181 0.9204  1 S 1.50
O: 0.7641 0.2224 0.3220  1 Si 1.59
O: 0.7668 0.0143 0.8030  1 S 1.45
O: 0.7686 0.0443 0.6956  1 S 1.55
O: 0.7941 0.0099 0.4225  1 Si 1.62
O: 0.8135 0.6480 0.9346  1 Si 1.73, 1 Ge 1.75
O: 0.8259 0.6953 0.5289  1 S 1.53
O: 0.8256 0.7080 0.2499  1 S 1.50
O: 0.8284 0.5075 0.7538  1 Si 1.60
O: 0.8318 0.9924 0.0961  1 Si 1.70, 1 Ge 1.83
O: 0.8327 0.6971 0.6364  1 S 1.46
O: 0.8397 0.4741 0.1412  1 S 1.48
O: 0.8429 0.5221 0.4198  1 S 1.52
O: 0.8479 0.1799 0.6031  1 Si 1.71, 1 Ge 1.86
O: 0.8563 0.4274 0.0359  1 S 1.46
O: 0.9514 0.8379 0.5781  1 S 1.47
O: 0.9516 0.2461 0.8232  1 Si 1.59
O: 0.9542 0.1899 0.1017  1 S 1.55
O: 0.9576 0.8403 0.9253  1 Si 1.59
O: 0.9650 0.8284 0.2996  1 S 1.47
O: 0.9824 0.2184 0.4164  1 S 1.50
O: 0.9940 0.8136 0.1925  1 S 1.57

Output
* formation energy: -2.504 eV per atom
* VASP energy: -6.673 eV/atom

***

3.
Na3YSi3Ge3S3O24 | PBE | optimized geometry

Cell lengths 8.7056, 8.7377, 22.3909 Å; angles 89.93, 88.98, 60.68 degrees
With the nearest neighbours (Å) after each atom.
Element x y z (fractional)
Na: 0.0000 0.0000 0.0000  6 O 2.49-2.67
Na: 0.0017 0.0130 0.5041  5 O 2.42-2.71
Na: 0.3068 0.3363 0.1707  4 O 2.35-2.61
Na: 0.3238 0.3276 0.6739  6 O 2.39-2.65
Na: 0.6455 0.0389 0.5943  5 O 2.33-2.55
Na: 0.6511 0.6652 0.8384  6 O 2.39-2.59
Na: 0.6528 0.3067 0.0826  4 O 2.32-2.46
Na: 0.6589 0.6616 0.3406  5 O 2.40-2.47
Na: 0.9742 0.3742 0.2557  6 O 2.33-2.61
Y: 0.3113 0.3153 0.0141  4 O 2.09-2.22
Y: 0.3149 0.3244 0.5253  6 O 2.10-2.27
Y: 0.6571 0.6635 0.1973  6 O 2.07-2.24
Si: 0.0179 0.3283 0.4189  4 O 1.58-1.70
Si: 0.3207 0.0118 0.9183  4 O 1.59-1.68
Si: 0.3683 0.9296 0.5897  4 O 1.61-1.67
Si: 0.6273 0.3210 0.9207  4 O 1.60-1.68
Si: 0.6619 0.3784 0.5954  4 O 1.61-1.68
Si: 0.6825 0.2780 0.2591  4 O 1.61-1.67
Si: 0.7141 0.9816 0.7524  4 O 1.62-1.69
Si: 0.9506 0.3601 0.0903  4 O 1.60-1.73
Si: 0.9957 0.7226 0.2581  4 O 1.61-1.68
Ge: 0.2990 0.3639 0.3168  4 O 1.80-1.94
Ge: 0.3798 0.2772 0.8230  3 O 1.75-1.80
Ge: 0.6362 0.6798 0.6917  3 O 1.75-1.86
Ge: 0.6544 0.6400 0.9794  3 O 1.80-1.90
Ge: 0.6584 0.6350 0.4884  3 O 1.77-1.86
Ge: 0.9640 0.0082 0.1550  3 O 1.81-1.87
Ge: 0.9671 0.0153 0.3556  4 O 1.75-1.94
Ge: 0.9797 0.9952 0.8561  4 O 1.79-1.96
Ge: 0.9844 0.0193 0.6512  4 O 1.81-1.92
S: 0.0220 0.6267 0.9158  4 O 1.47-1.50
S: 0.2605 0.0081 0.2580  4 O 1.45-1.50
S: 0.2737 0.7028 0.7540  4 O 1.48-1.53
S: 0.3187 0.6337 0.4188  4 O 1.46-1.52
S: 0.3496 0.6770 0.0870  4 O 1.46-1.51
S: 0.6208 0.0255 0.4194  4 O 1.47-1.52
S: 0.6650 0.9497 0.0864  4 O 1.45-1.52
S: 0.9315 0.6699 0.5913  4 O 1.46-1.50
S: 0.9908 0.2874 0.7556  4 O 1.48-1.53
O: 0.0000 0.1493 0.4097  1 Si 1.66, 1 Ge 1.81
O: 0.0017 0.8053 0.9082  1 S 1.49
O: 0.0265 0.8077 0.1955  1 Si 1.66, 1 Ge 1.81
O: 0.0276 0.1754 0.6992  1 S 1.53
O: 0.1082 0.5092 0.8641  1 S 1.47
O: 0.1078 0.5170 0.5881  1 S 1.46
O: 0.1169 0.3632 0.3584  1 Si 1.70, 1 Ge 1.83
O: 0.1190 0.5655 0.9718  1 S 1.47
O: 0.1293 0.2881 0.4777  1 Si 1.58
O: 0.1455 0.3337 0.0879  1 Si 1.60
O: 0.1501 0.3070 0.7609  1 S 1.48
O: 0.1551 0.9847 0.9002  1 Si 1.63, 1 Ge 1.80
O: 0.1556 0.0354 0.2025  1 S 1.50
O: 0.1648 0.8082 0.4115  1 S 1.47
O: 0.1693 0.7862 0.7000  1 S 1.49
O: 0.1705 0.5200 0.2599  1 Si 1.68, 1 Ge 1.81
O: 0.1737 0.9418 0.6002  1 Si 1.66, 1 Ge 1.82
O: 0.1747 0.8367 0.0911  1 S 1.48
O: 0.1797 0.9829 0.3127  1 S 1.47
O: 0.1952 0.8130 0.8080  1 S 1.48
O: 0.2535 0.1308 0.9772  1 Si 1.59
O: 0.2739 0.1719 0.2614  1 S 1.49
O: 0.2904 0.5257 0.7594  1 S 1.49
O: 0.2908 0.5571 0.4731  1 S 1.46
O: 0.3353 0.5154 0.0822  1 S 1.48
O: 0.3476 0.1230 0.5867  1 Si 1.61
O: 0.3542 0.5138 0.3652  1 S 1.52
O: 0.3667 0.1084 0.8610  1 Si 1.68, 1 Ge 1.75
O: 0.4350 0.8554 0.2552  1 S 1.45
O: 0.4367 0.7000 0.0312  1 S 1.51
O: 0.4532 0.6548 0.1402  1 S 1.46
O: 0.4572 0.6855 0.7505  1 S 1.53
O: 0.4655 0.8105 0.5281  1 Si 1.67, 1 Ge 1.84
O: 0.4834 0.6470 0.4223  1 S 1.50
O: 0.4857 0.3674 0.8646  1 Si 1.68, 1 Ge 1.76
O: 0.4945 0.2794 0.2700  1 Si 1.64, 1 Ge 1.80
O: 0.4939 0.3482 0.5927  1 Si 1.61
O: 0.4946 0.8584 0.6481  1 Si 1.64, 1 Ge 1.75
O: 0.5074 0.8285 0.9304  1 Si 1.66
O: 0.5077 0.1174 0.3688  1 S 1.47
O: 0.5153 0.1636 0.7589  1 Si 1.69, 1 Ge 1.80
O: 0.5191 0.1336 0.0835  1 S 1.48
O: 0.5567 0.1252 0.4762  1 S 1.48
O: 0.5622 0.2894 0.9842  1 Si 1.60
O: 0.6348 0.8797 0.1414  1 S 1.45
O: 0.6368 0.8488 0.4244  1 S 1.49
O: 0.6425 0.4977 0.6540  1 Si 1.63, 1 Ge 1.78
O: 0.6458 0.4991 0.9224  1 Si 1.64, 1 Ge 1.80
O: 0.6594 0.4720 0.2587  1 Si 1.61
O: 0.6812 0.8463 0.0323  1 S 1.48
O: 0.6856 0.8070 0.7470  1 Si 1.67, 1 Ge 1.86
O: 0.7005 0.4493 0.5316  1 Si 1.65, 1 Ge 1.77
O: 0.7642 0.1666 0.1951  1 Si 1.67, 1 Ge 1.83
O: 0.8007 0.0190 0.6920  1 Si 1.65, 1 Ge 1.83
O: 0.8040 0.0042 0.4133  1 S 1.52
O: 0.8104 0.4630 0.0320  1 Si 1.73, 1 Ge 1.90
O: 0.8163 0.1474 0.9071  1 Si 1.62, 1 Ge 1.79
O: 0.8211 0.5117 0.4274  1 Si 1.69, 1 Ge 1.86
O: 0.8245 0.1917 0.3116  1 Si 1.62, 1 Ge 1.75
O: 0.8260 0.6963 0.5360  1 S 1.50
O: 0.8281 0.6914 0.2603  1 Si 1.61
O: 0.8302 0.4599 0.7503  1 S 1.48
O: 0.8336 0.9559 0.8099  1 Si 1.62
O: 0.8364 0.9550 0.0900  1 S 1.52
O: 0.8404 0.1789 0.5979  1 Si 1.68, 1 Ge 1.81
O: 0.8408 0.6475 0.9235  1 S 1.50
O: 0.8506 0.6438 0.6463  1 S 1.48
O: 0.8661 0.4569 0.1525  1 Si 1.60
O: 0.9441 0.8339 0.5945  1 S 1.49
O: 0.9562 0.1627 0.0957  1 Si 1.70, 1 Ge 1.87
O: 0.9606 0.2001 0.8077  1 S 1.48
O: 0.9833 0.8304 0.3181  1 Si 1.61, 1 Ge 1.76

Output
* formation energy: -2.358 eV per atom
* VASP energy: -6.554 eV/atom